Record 1
Entry from the Materials Project: a geometry-optimized MnZn structure (GGA-PBE).

The structure belongs to space group P-6m2 (No. 187); the cell edges are 2.6415, 2.6415 and 4.4009 Å and the angles 90.00°, 90.00° and 120.00°. The distinct sites, in fractional coordinates, are Mn at (0.0000, 0.0000, 0.0000) and Zn at (0.6667, 0.3333, 0.5000).

The value obtained for the energy of formation from the pure elements is 167 meV/atom. The value obtained for the volume is 26.6 Å³/f.u. The total energy comes out at -5.04 eV/atom.



Record 2
Entry from the Materials Project: a geometry-optimized MnZn3 structure (GGA-PBE).

The structure belongs to space group P6_3/mmc (No. 194); the cell edges are 5.4726, 5.4726 and 4.3506 Å and the angles 90.00°, 90.00° and 120.00°. The distinct sites, in fractional coordinates, are Mn at (0.3333, 0.6667, 0.2500) and Zn at (0.1684, 0.3368, 0.7500).

The value obtained for the energy of formation from the pure elements is -18 meV/atom. The value obtained for the volume is 56.4 Å³/f.u. The total energy comes out at -3.25 eV/atom.



Record 3
Entry from the Materials Project: a geometry-optimized MnZn3 structure (GGA-PBE).

The structure belongs to space group P-6m2 (No. 187); the cell edges are 2.7250, 2.7250 and 8.7621 Å and the angles 90.00°, 90.00° and 120.00°. The distinct sites, in fractional coordinates, are Mn at (0.0000, 0.0000, 0.0000), Zn at (0.0000, 0.0000, 0.5000) and Zn at (0.6667, 0.3333, 0.2414).

The value obtained for the energy of formation from the pure elements is 56 meV/atom. The value obtained for the volume is 56.3 Å³/f.u. The total energy comes out at -3.18 eV/atom.



Record 4
Entry from the Materials Project: a geometry-optimized MnZn structure (GGA-PBE).

The structure belongs to space group Pm-3m (No. 221); the cell edges are 2.9992, 2.9992 and 2.9992 Å and the angles 90.00°, 90.00° and 90.00°. The distinct sites, in fractional coordinates, are Mn at (0.0000, 0.0000, 0.0000) and Zn at (0.5000, 0.5000, 0.5000).

The value obtained for the energy of formation from the pure elements is 62 meV/atom. The value obtained for the volume is 27.0 Å³/f.u. The total energy comes out at -5.15 eV/atom.



Record 5
Entry from the Materials Project: a geometry-optimized MnZn3 structure (GGA-PBE).

The structure belongs to space group Pm-3m (No. 221); the cell edges are 3.8253, 3.8253 and 3.8253 Å and the angles 90.00°, 90.00° and 90.00°. The distinct sites, in fractional coordinates, are Mn at (0.0000, 0.0000, 0.0000) and Zn at (0.0000, 0.5000, 0.5000).

The value obtained for the energy of formation from the pure elements is -31 meV/atom. The value obtained for the volume is 56.0 Å³/f.u. The total energy comes out at -3.27 eV/atom.



Record 6
Entry from the Materials Project: a geometry-optimized Zr3Mn structure (GGA-PBE).

The structure belongs to space group I4/mmm (No. 139); the cell edges are 4.3122, 4.3122 and 9.0456 Å and the angles 90.00°, 90.00° and 90.00°. The distinct sites, in fractional coordinates, are Zr at (0.0000, 0.0000, 0.0000), Zr at (0.0000, 0.5000, 0.2500) and Mn at (0.0000, 0.0000, 0.5000).

The value obtained for the energy of formation from the pure elements is 140 meV/atom. The value obtained for the volume is 84.1 Å³/f.u. The total energy comes out at -8.56 eV/atom.



Record 7
Entry from the Materials Project: a geometry-optimized Zr3Mn structure (GGA-PBE).

The structure belongs to space group Pm-3m (No. 221); the cell edges are 4.3732, 4.3732 and 4.3732 Å and the angles 90.00°, 90.00° and 90.00°. The distinct sites, in fractional coordinates, are Zr at (0.0000, 0.0000, 0.5000) and Mn at (0.5000, 0.5000, 0.5000).

The value obtained for the energy of formation from the pure elements is 139 meV/atom. The value obtained for the volume is 83.6 Å³/f.u. The total energy comes out at -8.56 eV/atom.



Record 8
Entry from the Materials Project: a geometry-optimized Zr4Mn structure (GGA-PBE).

The structure belongs to space group Fd-3m (No. 227, origin choice 2); the cell edges are 9.7492, 9.7492 and 9.7492 Å and the angles 90.00°, 90.00° and 90.00°. The distinct sites, in fractional coordinates, are Zr at (0.0147, 0.0147, 0.2353) and Mn at (0.1250, 0.1250, 0.6250).

The value obtained for the energy of formation from the pure elements is 667 meV/atom. The value obtained for the volume is 115.8 Å³/f.u. The total energy comes out at -8.00 eV/atom.



Record 9
Entry from the Materials Project: a geometry-optimized Mo structure (GGA-PBE).

The structure belongs to space group Fm-3m (No. 225); the cell edges are 4.0120, 4.0120 and 4.0120 Å and the angles 90.00°, 90.00° and 90.00°. The distinct sites, in fractional coordinates, are Mo at (0.0000, 0.0000, 0.0000).

The value obtained for the energy of formation from the pure elements is 411 meV/atom. The value obtained for the volume is 16.1 Å³/f.u. The total energy comes out at -10.43 eV/atom. For the offset from the most stable computed form, the calculation gives 411.5 meV per atom.



Record 10
Entry from the Materials Project: a geometry-optimized Mo structure (GGA-PBE).

The structure belongs to space group P6_3/mmc (No. 194); the cell edges are 2.7681, 2.7681 and 4.8754 Å and the angles 90.00°, 90.00° and 120.00°. The distinct sites, in fractional coordinates, are Mo at (0.3333, 0.6667, 0.2500).

The value obtained for the energy of formation from the pure elements is 429 meV/atom. The value obtained for the volume is 16.2 Å³/f.u. The total energy comes out at -10.42 eV/atom. For the offset from the most stable computed form, the calculation gives 429.2 meV per atom.



Record 11
Entry from the Materials Project: a geometry-optimized Mo structure (GGA-PBE).

The structure belongs to space group Im-3m (No. 229); the cell edges are 3.1676, 3.1676 and 3.1676 Å and the angles 90.00°, 90.00° and 90.00°. The distinct sites, in fractional coordinates, are Mo at (0.0000, 0.0000, 0.0000).

The value obtained for the energy of formation from the pure elements is 0 meV/atom. The value obtained for the volume is 15.9 Å³/f.u. The total energy comes out at -10.85 eV/atom. For the offset from the most stable computed form, the calculation gives 0.0 meV per atom.



Record 12
Entry from the Materials Project: a geometry-optimized Mo structure (GGA-PBE).

The structure belongs to space group P6_3/mmc (No. 194); the cell edges are 2.8176, 2.8176 and 9.1657 Å and the angles 90.00°, 90.00° and 120.00°. The distinct sites, in fractional coordinates, are Mo at (0.0000, 0.0000, 0.0000) and Mo at (0.3333, 0.6667, 0.2500).

The value obtained for the energy of formation from the pure elements is 442 meV/atom. The value obtained for the volume is 15.8 Å³/f.u. The total energy comes out at -10.40 eV/atom. For the offset from the most stable computed form, the calculation gives 442.1 meV per atom.